# 1
Below is a geometry-optimized ReN structure, with properties calculated at the PBE-GGA level. Values from VASP.

Structure (Quantum ESPRESSO input):
```
&SYSTEM
  ibrav = 0, nat = 4, ntyp = 2
/
ATOMIC_SPECIES
Re 186.21 Re.upf
N 14.01 N.upf
CELL_PARAMETERS angstrom
2.713 0.000 0.000
0.000 2.713 0.000
0.000 0.000 6.224
ATOMIC_POSITIONS angstrom
Re 1.356 0.000 3.112
Re 0.000 1.356 0.000
N 0.000 0.000 4.668
N 0.000 0.000 1.556
```

Properties
Total energy: -9.977 eV/atom
Energy of formation from the pure elements: 0.233 eV/atom
Energy relative to the lowest polymorph listed for this composition: 0.367 eV/atom

# 2
Below is a geometry-optimized ReN structure, with properties calculated at the PBE-GGA level. Values from VASP.

Structure (Quantum ESPRESSO input):
```
&SYSTEM
  ibrav = 0, nat = 6, ntyp = 2
/
ATOMIC_SPECIES
Re 186.21 Re.upf
N 14.01 N.upf
CELL_PARAMETERS angstrom
4.073 0.000 0.000
0.000 4.073 0.000
0.000 0.000 4.073
ATOMIC_POSITIONS angstrom
Re 2.037 2.037 0.000
Re 2.037 0.000 2.037
Re 0.000 2.037 2.037
N 0.000 0.000 2.037
N 0.000 2.037 0.000
N 2.037 0.000 0.000
```

Properties
Total energy: -10.344 eV/atom
Energy of formation from the pure elements: -0.134 eV/atom
Energy relative to the lowest polymorph listed for this composition: 0.000 eV/atom

# 3
Below is a geometry-optimized ReN structure, with properties calculated at the PBE-GGA level. Values from VASP.

Structure (Quantum ESPRESSO input):
```
&SYSTEM
  ibrav = 0, nat = 4, ntyp = 2
/
ATOMIC_SPECIES
Re 186.21 Re.upf
N 14.01 N.upf
CELL_PARAMETERS angstrom
-0.260 2.746 -0.462
-0.912 -1.106 2.401
5.314 0.914 2.439
ATOMIC_POSITIONS angstrom
Re 2.657 0.457 1.220
Re 0.000 0.000 0.000
N 0.634 0.406 2.056
N 3.509 2.147 2.322
```

Properties
Total energy: -9.970 eV/atom
Energy of formation from the pure elements: 0.240 eV/atom
Energy relative to the lowest polymorph listed for this composition: 0.375 eV/atom

# 4
Below is a geometry-optimized Re3N4 structure, with properties calculated at the PBE-GGA level. Values from VASP.

Structure (Quantum ESPRESSO input):
```
&SYSTEM
  ibrav = 0, nat = 28, ntyp = 2
/
ATOMIC_SPECIES
Re 186.21 Re.upf
N 14.01 N.upf
CELL_PARAMETERS angstrom
-2.346 1.511 -4.476
2.985 -4.108 -2.951
-7.414 -6.582 1.664
ATOMIC_POSITIONS angstrom
Re -4.880 -2.535 -1.406
Re 1.492 -2.054 -1.475
Re -3.388 -4.590 -2.882
Re 0.000 0.000 0.000
Re -5.932 -5.193 -1.693
Re -1.097 -2.629 -0.372
Re -0.843 -3.986 -4.071
Re -5.679 -6.550 -5.391
Re -3.811 -4.707 -0.223
Re -0.800 -0.968 -2.384
Re -2.965 -4.472 -5.540
Re -5.976 -8.211 -3.379
N -5.322 -3.754 -3.079
N -1.661 -0.433 -3.999
N -1.454 -5.425 -2.684
N -5.115 -8.746 -1.764
N -6.572 -6.630 -0.339
N -2.871 -3.335 -1.183
N -0.204 -2.550 -5.424
N -3.905 -5.845 -4.580
N -2.610 -8.088 -2.893
N -0.323 -2.856 -2.372
N -2.763 -3.021 -4.257
N -7.855 -4.393 -2.005
N -4.165 -1.091 -2.870
N -6.453 -6.324 -3.391
N -4.013 -6.158 -1.506
N 1.079 -4.786 -3.758
```

Properties
Total energy: -9.893 eV/atom
Energy of formation from the pure elements: -0.002 eV/atom

# 5
Below is a geometry-optimized ReN structure, with properties calculated at the PBE-GGA level. Values from VASP.

Structure (Quantum ESPRESSO input):
```
&SYSTEM
  ibrav = 0, nat = 2, ntyp = 2
/
ATOMIC_SPECIES
Re 186.21 Re.upf
N 14.01 N.upf
CELL_PARAMETERS angstrom
-2.768 0.110 -0.365
1.061 -1.229 2.274
-0.089 2.647 1.472
ATOMIC_POSITIONS angstrom
Re 0.000 0.000 0.000
N -1.536 0.987 1.250
```

Properties
Total energy: -9.728 eV/atom
Energy of formation from the pure elements: 0.482 eV/atom
Energy relative to the lowest polymorph listed for this composition: 0.616 eV/atom

# 6
Below is a geometry-optimized ReSbN structure, with properties calculated at the PBE-GGA level. Values from VASP.

Structure (Quantum ESPRESSO input):
```
&SYSTEM
  ibrav = 0, nat = 6, ntyp = 3
/
ATOMIC_SPECIES
Re 186.21 Re.upf
Sb 121.76 Sb.upf
N 14.01 N.upf
CELL_PARAMETERS angstrom
3.432 0.000 0.000
0.000 3.432 0.000
0.000 0.000 8.593
ATOMIC_POSITIONS angstrom
Re 1.716 0.000 1.089
Re 0.000 1.716 7.503
Sb 1.716 0.000 5.727
Sb 0.000 1.716 2.865
N 1.716 1.716 0.000
N 0.000 0.000 0.000
```

Properties
Total energy: -7.931 eV/atom
Energy of formation from the pure elements: 0.252 eV/atom

# 7
Below is a geometry-optimized SrRe7N10 structure, with properties calculated at the PBE-GGA level. Values from VASP.

Structure (Quantum ESPRESSO input):
```
&SYSTEM
  ibrav = 0, nat = 36, ntyp = 3
/
ATOMIC_SPECIES
Sr 87.62 Sr.upf
Re 186.21 Re.upf
N 14.01 N.upf
CELL_PARAMETERS angstrom
7.288 0.000 -0.181
0.000 6.885 0.000
-3.064 0.000 10.589
ATOMIC_POSITIONS angstrom
Sr 4.509 0.066 6.851
Sr 6.041 6.819 1.556
Re 1.302 6.737 8.600
Re 2.834 0.148 3.306
Re -0.526 0.207 10.403
Re 1.006 6.678 5.108
Re 0.278 2.858 0.596
Re -1.254 4.027 5.891
Re 1.975 2.824 10.355
Re 3.507 4.061 5.060
Re 3.733 4.160 8.749
Re 5.265 2.725 3.454
Re -0.012 4.538 9.340
Re 1.520 2.347 4.045
Re 1.277 2.460 7.517
Re 2.809 4.426 2.222
N 2.971 5.895 8.771
N 4.503 0.990 3.476
N 1.296 0.961 10.236
N 2.828 5.924 4.941
N -0.743 6.346 8.588
N 0.789 0.539 3.293
N 0.955 1.226 0.195
N -0.577 5.659 5.490
N -0.257 3.605 7.594
N 1.274 3.281 2.299
N 1.175 0.658 6.803
N 2.706 6.228 1.509
N 5.918 2.669 1.592
N 4.386 4.216 6.887
N -1.896 4.148 9.899
N -0.364 2.738 4.604
N 2.947 2.388 8.504
N 4.479 4.497 3.210
N 3.600 3.868 0.533
N 2.068 3.017 5.828
```

Properties
Total energy: -9.503 eV/atom
Energy of formation from the pure elements: -0.138 eV/atom

# 8
Below is a geometry-optimized Sr5Re2N6 structure, with properties calculated at the PBE-GGA level. Values from VASP.

Structure (Quantum ESPRESSO input):
```
&SYSTEM
  ibrav = 0, nat = 26, ntyp = 3
/
ATOMIC_SPECIES
Sr 87.62 Sr.upf
Re 186.21 Re.upf
N 14.01 N.upf
CELL_PARAMETERS angstrom
-1.584 6.136 -0.215
1.200 -3.976 -5.734
-12.050 -5.520 1.307
ATOMIC_POSITIONS angstrom
Sr -11.240 -7.934 -3.307
Sr -6.647 -0.083 -3.418
Sr -1.195 4.574 -1.336
Sr -5.788 -3.277 -1.224
Sr -9.038 -2.260 0.495
Sr -9.646 -3.116 -3.410
Sr -3.397 -1.101 -5.137
Sr -2.789 -0.245 -1.232
Sr -8.575 -5.674 -1.232
Sr -2.276 -3.822 -3.196
Re -6.549 -3.258 -4.389
Re -11.662 -3.687 -0.790
Re -5.886 -0.102 -0.254
Re -0.773 0.327 -3.852
N -7.711 -1.925 -5.096
N -10.626 -4.601 0.522
N -4.724 -1.436 0.453
N -1.809 1.241 -5.164
N -7.361 -4.532 -3.225
N -10.974 -2.003 -1.363
N -5.074 1.171 -1.418
N -1.461 -1.357 -3.280
N -7.608 -0.597 -0.808
N -10.954 -5.187 -2.696
N -4.827 -2.763 -3.835
N -1.481 1.826 -1.946
```

Properties
Total energy: -7.058 eV/atom
Energy of formation from the pure elements: -0.812 eV/atom

# 9
Below is a geometry-optimized Sr2ReN3 structure, with properties calculated at the PBE-GGA level. Values from VASP.

Structure (Quantum ESPRESSO input):
```
&SYSTEM
  ibrav = 0, nat = 24, ntyp = 3
/
ATOMIC_SPECIES
Sr 87.62 Sr.upf
Re 186.21 Re.upf
N 14.01 N.upf
CELL_PARAMETERS angstrom
5.689 2.750 0.000
-5.689 2.750 0.000
0.000 1.235 12.518
ATOMIC_POSITIONS angstrom
Sr 2.272 4.729 4.463
Sr 2.272 1.387 1.796
Sr -2.272 2.004 8.055
Sr -2.272 5.347 10.722
Sr -1.261 1.388 0.950
Sr -1.261 4.729 5.309
Sr 1.261 5.346 11.568
Sr 1.261 2.005 7.208
Re 0.044 4.122 2.166
Re 0.044 1.994 4.093
Re -0.044 2.611 10.352
Re -0.044 4.740 8.425
N -1.431 3.058 3.129
N 1.431 3.675 9.388
N 1.837 4.018 1.611
N 1.837 2.098 4.648
N -1.837 2.715 10.907
N -1.837 4.636 7.870
N 0.978 4.745 6.864
N 0.978 2.606 11.913
N -0.978 1.988 5.654
N -0.978 4.128 0.605
N -5.665 3.058 3.129
N 5.665 3.675 9.388
```

Properties
Total energy: -7.491 eV/atom
Energy of formation from the pure elements: -0.866 eV/atom

# 10
Below is a geometry-optimized SrReN3 structure, with properties calculated at the PBE-GGA level. Values from VASP.

Structure (Quantum ESPRESSO input):
```
&SYSTEM
  ibrav = 0, nat = 20, ntyp = 3
/
ATOMIC_SPECIES
Sr 87.62 Sr.upf
Re 186.21 Re.upf
N 14.01 N.upf
CELL_PARAMETERS angstrom
-6.638 -1.622 -3.451
2.134 -7.164 -1.653
-3.025 -3.374 4.360
ATOMIC_POSITIONS angstrom
Sr -1.373 -6.270 -1.127
Sr -6.587 -2.976 -2.196
Sr -0.942 -9.184 1.451
Sr -6.156 -5.890 0.382
Re -4.717 -6.623 -2.674
Re -2.801 -2.903 -0.558
Re -4.729 -9.257 -0.187
Re -2.813 -5.537 1.930
N -5.009 -10.555 -1.375
N -1.626 -6.744 1.468
N -4.403 -6.417 2.554
N -4.187 -2.483 -1.547
N -5.903 -5.417 -2.213
N -2.520 -1.605 0.630
N -5.408 -7.661 -3.947
N -3.133 -4.577 0.325
N -4.397 -7.583 -1.069
N -2.122 -4.499 3.202
N -3.343 -9.677 0.802
N -3.127 -5.743 -3.299
```

Properties
Total energy: -8.341 eV/atom
Energy of formation from the pure elements: -0.729 eV/atom

# 11
Below is a geometry-optimized Sr3Re3N5 structure, with properties calculated at the PBE-GGA level. Values from VASP.

Structure (Quantum ESPRESSO input):
```
&SYSTEM
  ibrav = 0, nat = 22, ntyp = 3
/
ATOMIC_SPECIES
Sr 87.62 Sr.upf
Re 186.21 Re.upf
N 14.01 N.upf
CELL_PARAMETERS angstrom
-5.018 -3.113 -1.336
0.608 -2.628 6.557
-3.013 8.618 0.845
ATOMIC_POSITIONS angstrom
Sr -5.671 1.660 2.253
Sr -1.753 1.216 3.813
Sr -5.354 3.335 5.581
Sr -2.069 -0.458 0.485
Sr -3.533 -2.021 3.570
Sr -3.890 4.897 2.496
Re -7.250 4.729 1.687
Re -0.174 -1.852 4.379
Re -4.553 0.293 5.661
Re -2.871 2.583 0.405
Re -2.076 3.313 6.288
Re -5.347 -0.436 -0.222
N -6.821 3.605 0.168
N -0.603 -0.729 5.898
N -5.423 -0.324 3.978
N -2.000 3.200 2.088
N -6.242 4.159 3.318
N -1.182 -1.283 2.748
N -3.164 1.688 6.218
N -4.260 1.188 -0.152
N -2.918 4.898 5.616
N -4.506 -2.022 0.450
```

Properties
Total energy: -7.951 eV/atom
Energy of formation from the pure elements: -0.471 eV/atom

# 12
Below is a geometry-optimized TiReN3 structure, with properties calculated at the PBE-GGA level. Values from VASP.

Structure (Quantum ESPRESSO input):
```
&SYSTEM
  ibrav = 0, nat = 10, ntyp = 3
/
ATOMIC_SPECIES
Ti 47.87 Ti.upf
Re 186.21 Re.upf
N 14.01 N.upf
CELL_PARAMETERS angstrom
4.957 -2.552 0.000
4.957 2.552 0.000
3.643 0.000 4.221
ATOMIC_POSITIONS angstrom
Ti 0.084 0.000 0.026
Ti 6.862 0.000 2.136
Re 9.511 0.000 2.961
Re 2.733 0.000 0.851
N 8.588 -0.870 1.240
N 7.754 -0.751 3.920
N 5.932 -1.801 1.810
N 5.453 0.870 3.350
N 8.201 1.621 2.481
N 6.380 0.932 0.371
```

Properties
Total energy: -9.584 eV/atom
Energy of formation from the pure elements: -0.731 eV/atom

# 13
Below is a geometry-optimized ReWN3 structure, with properties calculated at the PBE-GGA level. Values from VASP.

Structure (Quantum ESPRESSO input):
```
&SYSTEM
  ibrav = 0, nat = 20, ntyp = 3
/
ATOMIC_SPECIES
Re 186.21 Re.upf
W 183.84 W.upf
N 14.01 N.upf
CELL_PARAMETERS angstrom
3.745 -0.075 -1.059
-1.490 7.902 0.333
-1.743 -2.562 8.939
ATOMIC_POSITIONS angstrom
Re -0.518 2.577 5.998
Re 1.031 2.689 2.214
Re 3.307 0.586 0.106
Re -2.795 4.680 8.106
W 0.479 4.462 4.348
W 0.034 0.803 3.864
W -0.908 5.936 1.616
W 1.421 -0.670 6.596
N -0.038 -0.773 2.795
N 0.551 6.038 5.417
N 0.136 2.852 7.941
N 0.377 2.414 0.271
N 1.368 -0.248 0.632
N -0.855 5.514 7.580
N -1.429 3.915 4.492
N 1.942 1.350 3.720
N -0.905 2.047 2.524
N 1.417 3.218 5.688
N 0.274 4.589 2.223
N 0.238 0.676 5.989
```

Properties
Total energy: -9.936 eV/atom
Energy of formation from the pure elements: -0.071 eV/atom

# 14
Below is a geometry-optimized ZnReN2 structure, with properties calculated at the PBE-GGA level. Values from VASP.

Structure (Quantum ESPRESSO input):
```
&SYSTEM
  ibrav = 0, nat = 16, ntyp = 3
/
ATOMIC_SPECIES
Zn 65.41 Zn.upf
Re 186.21 Re.upf
N 14.01 N.upf
CELL_PARAMETERS angstrom
-5.463 1.172 0.982
-1.388 -1.336 -6.126
-0.892 -5.293 1.356
ATOMIC_POSITIONS angstrom
Zn -4.424 -0.565 -4.848
Zn -2.894 -2.370 0.414
Zn -6.007 -2.150 -0.778
Zn -1.311 -0.784 -3.656
Re -3.552 0.129 -1.764
Re -3.750 -2.971 -2.694
Re -6.835 -2.725 -3.763
Re -0.467 -0.117 -0.695
N -3.989 -1.680 -1.225
N -3.936 -4.857 -2.286
N -7.002 -4.593 -3.273
N -0.923 -1.944 -0.238
N -4.929 -2.459 -4.175
N -3.052 -4.409 0.749
N -6.104 -4.132 -0.178
N -1.876 -2.736 -3.248
```

Properties
Total energy: -7.324 eV/atom
Energy of formation from the pure elements: 0.090 eV/atom

# 15
Below is a geometry-optimized RhN2 structure, with properties calculated at the PBE-GGA level. Values from VASP.

Structure (Quantum ESPRESSO input):
```
&SYSTEM
  ibrav = 0, nat = 12, ntyp = 2
/
ATOMIC_SPECIES
Rh 102.91 Rh.upf
N 14.01 N.upf
CELL_PARAMETERS angstrom
4.916 0.000 0.000
0.000 4.935 -0.028
0.000 1.590 4.685
ATOMIC_POSITIONS angstrom
Rh 0.003 4.115 1.076
Rh 2.455 4.910 3.419
Rh 2.461 1.615 1.238
Rh 4.912 2.410 3.581
N 2.034 4.473 1.400
N 4.501 4.461 3.144
N 0.415 2.065 1.513
N 0.423 5.268 3.742
N 4.492 1.257 0.915
N 2.881 2.052 3.257
N 2.043 2.860 3.856
N 2.872 3.665 0.801
```

Properties
Total energy: -7.655 eV/atom
Energy of formation from the pure elements: 0.117 eV/atom

# 16
Below is a geometry-optimized RhN structure, with properties calculated at the PBE-GGA level. Values from VASP.

Structure (Quantum ESPRESSO input):
```
&SYSTEM
  ibrav = 0, nat = 2, ntyp = 2
/
ATOMIC_SPECIES
Rh 102.91 Rh.upf
N 14.01 N.upf
CELL_PARAMETERS angstrom
1.619 -2.448 -0.928
-1.435 -2.389 -1.309
0.364 -0.555 -3.006
ATOMIC_POSITIONS angstrom
Rh 0.000 0.000 0.000
N 0.274 -2.696 -2.621
```

Properties
Total energy: -6.889 eV/atom
Energy of formation from the pure elements: 0.781 eV/atom
Energy relative to the lowest polymorph listed for this composition: 0.446 eV/atom

# 17
Below is a geometry-optimized RhN structure, with properties calculated at the PBE-GGA level. Values from VASP.

Structure (Quantum ESPRESSO input):
```
&SYSTEM
  ibrav = 0, nat = 2, ntyp = 2
/
ATOMIC_SPECIES
Rh 102.91 Rh.upf
N 14.01 N.upf
CELL_PARAMETERS angstrom
0.000 2.311 2.311
2.311 0.000 2.311
2.311 2.311 0.000
ATOMIC_POSITIONS angstrom
Rh 0.000 0.000 0.000
N 1.155 1.155 1.155
```

Properties
Total energy: -7.335 eV/atom
Energy of formation from the pure elements: 0.335 eV/atom
Energy relative to the lowest polymorph listed for this composition: 0.000 eV/atom

# 18
Below is a geometry-optimized RhN2 structure, with properties calculated at the PBE-GGA level. Values from VASP.

Structure (Quantum ESPRESSO input):
```
&SYSTEM
  ibrav = 0, nat = 6, ntyp = 2
/
ATOMIC_SPECIES
Rh 102.91 Rh.upf
N 14.01 N.upf
CELL_PARAMETERS angstrom
-0.468 0.300 -2.780
2.670 -2.997 -0.773
-3.634 -3.303 0.256
ATOMIC_POSITIONS angstrom
Rh -0.716 -3.000 -1.648
Rh 0.000 0.000 0.000
N -2.549 -4.007 -1.448
N 1.116 -1.994 -1.848
N -1.184 -1.735 0.012
N 0.219 -4.566 -0.529
```

Properties
Total energy: -7.649 eV/atom
Energy of formation from the pure elements: 0.122 eV/atom

# 19
Below is a geometry-optimized RhN structure, with properties calculated at the PBE-GGA level. Values from VASP.

Structure (Quantum ESPRESSO input):
```
&SYSTEM
  ibrav = 0, nat = 4, ntyp = 2
/
ATOMIC_SPECIES
Rh 102.91 Rh.upf
N 14.01 N.upf
CELL_PARAMETERS angstrom
1.524 -2.640 0.000
1.524 2.640 0.000
0.000 0.000 5.155
ATOMIC_POSITIONS angstrom
Rh 0.000 0.000 2.577
Rh 0.000 0.000 0.000
N 1.524 0.880 1.289
N 1.524 -0.880 3.866
```

Properties
Total energy: -7.061 eV/atom
Energy of formation from the pure elements: 0.609 eV/atom
Energy relative to the lowest polymorph listed for this composition: 0.274 eV/atom

# 20
Below is a geometry-optimized RhN structure, with properties calculated at the PBE-GGA level. Values from VASP.

Structure (Quantum ESPRESSO input):
```
&SYSTEM
  ibrav = 0, nat = 2, ntyp = 2
/
ATOMIC_SPECIES
Rh 102.91 Rh.upf
N 14.01 N.upf
CELL_PARAMETERS angstrom
-2.364 -0.417 -1.683
1.133 -2.239 1.516
-1.688 0.644 2.212
ATOMIC_POSITIONS angstrom
Rh 0.000 0.000 0.000
N -0.877 -1.310 1.556
```

Properties
Total energy: -6.759 eV/atom
Energy of formation from the pure elements: 0.911 eV/atom
Energy relative to the lowest polymorph listed for this composition: 0.576 eV/atom